No. 1
VASP calculation (GGA+U) on an optimized crystal structure of Rb6Fe2O5.

Structure (CIF):
```
data_Rb6Fe2O5
_chemical_formula_sum 'Rb6 Fe2 O5'
_space_group_name_H-M_alt 'P 1'
_space_group_IT_number 1
_cell_length_a 7.051
_cell_length_b 7.051
_cell_length_c 7.105
_cell_angle_alpha 87.81
_cell_angle_beta 87.81
_cell_angle_gamma 117.65
loop_
_space_group_symop_operation_xyz
'x,y,z'
loop_
_atom_site_label
_atom_site_type_symbol
_atom_site_fract_x
_atom_site_fract_y
_atom_site_fract_z
Rb1 Rb 0.648 0.648 0.180
Rb2 Rb 0.756 0.243 0.498
Rb3 Rb 0.210 0.789 0.004
Rb4 Rb 0.361 0.361 0.825
Rb5 Rb 0.243 0.756 0.498
Rb6 Rb 0.789 0.210 0.004
O1 O 0.942 0.942 0.431
O2 O 0.438 0.165 0.229
O3 O 0.568 0.841 0.779
O4 O 0.165 0.438 0.229
O5 O 0.841 0.568 0.779
Fe1 Fe 0.795 0.795 0.671
Fe2 Fe 0.188 0.188 0.306
```

Crystal system = monoclinic


No. 2
VASP calculation (GGA+U) on an optimized crystal structure of Rb2Fe2O3.

Structure (CIF):
```
data_Rb2Fe2O3
_chemical_formula_sum 'Rb8 Fe8 O12'
_space_group_name_H-M_alt 'P 1'
_space_group_IT_number 1
_cell_length_a 6.371
_cell_length_b 8.232
_cell_length_c 12.097
_cell_angle_alpha 90.00
_cell_angle_beta 90.00
_cell_angle_gamma 90.00
loop_
_space_group_symop_operation_xyz
'x,y,z'
loop_
_atom_site_label
_atom_site_type_symbol
_atom_site_fract_x
_atom_site_fract_y
_atom_site_fract_z
Rb1 Rb 0.250 0.877 0.058
Rb2 Rb 0.250 0.623 0.558
Rb3 Rb 0.750 0.123 0.942
Rb4 Rb 0.750 0.377 0.442
Rb5 Rb 0.250 0.497 0.879
Rb6 Rb 0.750 0.503 0.121
Rb7 Rb 0.250 0.003 0.379
Rb8 Rb 0.750 0.997 0.621
O1 O 0.999 0.348 0.646
O2 O 0.499 0.652 0.354
O3 O 0.750 0.486 0.876
O4 O 0.250 0.514 0.124
O5 O 0.001 0.652 0.354
O6 O 0.250 0.986 0.624
O7 O 0.001 0.848 0.854
O8 O 0.499 0.848 0.854
O9 O 0.750 0.014 0.376
O10 O 0.501 0.152 0.146
O11 O 0.999 0.152 0.146
O12 O 0.501 0.348 0.646
Fe1 Fe 0.750 0.720 0.855
Fe2 Fe 0.750 0.402 0.727
Fe3 Fe 0.250 0.280 0.145
Fe4 Fe 0.250 0.220 0.645
Fe5 Fe 0.250 0.598 0.273
Fe6 Fe 0.750 0.780 0.355
Fe7 Fe 0.250 0.902 0.773
Fe8 Fe 0.750 0.098 0.227
```

Crystal system = orthorhombic


No. 3
VASP calculation (GGA+U) on an optimized crystal structure of Rb7Fe2O8.

Structure (CIF):
```
data_Rb7Fe2O8
_chemical_formula_sum 'Rb28 Fe8 O32'
_space_group_name_H-M_alt 'P 1'
_space_group_IT_number 1
_cell_length_a 10.653
_cell_length_b 6.528
_cell_length_c 21.026
_cell_angle_alpha 87.05
_cell_angle_beta 90.00
_cell_angle_gamma 90.00
loop_
_space_group_symop_operation_xyz
'x,y,z'
loop_
_atom_site_label
_atom_site_type_symbol
_atom_site_fract_x
_atom_site_fract_y
_atom_site_fract_z
O1 O 0.359 0.807 0.094
O2 O 0.909 0.483 0.230
O3 O 0.409 0.517 0.270
O4 O 0.841 0.109 0.007
O5 O 0.091 0.517 0.770
O6 O 0.341 0.891 0.493
O7 O 0.890 0.277 0.538
O8 O 0.159 0.891 0.993
O9 O 0.141 0.807 0.594
O10 O 0.959 0.873 0.173
O11 O 0.700 0.511 0.442
O12 O 0.641 0.193 0.906
O13 O 0.300 0.353 0.843
O14 O 0.241 0.140 0.734
O15 O 0.800 0.647 0.657
O16 O 0.300 0.489 0.558
O17 O 0.041 0.127 0.827
O18 O 0.541 0.873 0.673
O19 O 0.591 0.483 0.730
O20 O 0.859 0.193 0.406
O21 O 0.459 0.127 0.327
O22 O 0.200 0.353 0.343
O23 O 0.610 0.277 0.038
O24 O 0.759 0.860 0.266
O25 O 0.800 0.511 0.942
O26 O 0.259 0.140 0.234
O27 O 0.200 0.489 0.058
O28 O 0.110 0.723 0.462
O29 O 0.700 0.647 0.157
O30 O 0.390 0.723 0.962
O31 O 0.659 0.109 0.507
O32 O 0.741 0.860 0.766
Rb1 Rb 0.208 0.780 0.863
Rb2 Rb 0.792 0.220 0.137
Rb3 Rb 0.943 0.712 0.048
Rb4 Rb 0.453 0.414 0.134
Rb5 Rb 0.497 0.883 0.215
Rb6 Rb 0.338 0.599 0.696
Rb7 Rb 0.003 0.883 0.715
Rb8 Rb 0.658 0.903 0.385
Rb9 Rb 0.390 0.197 0.966
Rb10 Rb 0.342 0.097 0.615
Rb11 Rb 0.443 0.288 0.452
Rb12 Rb 0.662 0.401 0.304
Rb13 Rb 0.953 0.586 0.366
Rb14 Rb 0.610 0.803 0.034
Rb15 Rb 0.708 0.220 0.637
Rb16 Rb 0.162 0.599 0.196
Rb17 Rb 0.557 0.712 0.548
Rb18 Rb 0.503 0.117 0.785
Rb19 Rb 0.057 0.288 0.952
Rb20 Rb 0.047 0.414 0.634
Rb21 Rb 0.890 0.803 0.534
Rb22 Rb 0.838 0.401 0.804
Rb23 Rb 0.158 0.097 0.115
Rb24 Rb 0.842 0.903 0.885
Rb25 Rb 0.547 0.586 0.866
Rb26 Rb 0.292 0.780 0.363
Rb27 Rb 0.110 0.197 0.466
Rb28 Rb 0.997 0.117 0.285
Fe1 Fe 0.669 0.718 0.705
Fe2 Fe 0.331 0.282 0.295
Fe3 Fe 0.831 0.718 0.205
Fe4 Fe 0.778 0.281 0.474
Fe5 Fe 0.722 0.281 0.974
Fe6 Fe 0.278 0.719 0.026
Fe7 Fe 0.169 0.282 0.795
Fe8 Fe 0.222 0.719 0.526
```

Crystal system = monoclinic


No. 4
VASP calculation (GGA+U) on an optimized crystal structure of Rb4Fe2O5.

Structure (CIF):
```
data_Rb4Fe2O5
_chemical_formula_sum 'Rb8 Fe4 O10'
_space_group_name_H-M_alt 'P 1'
_space_group_IT_number 1
_cell_length_a 9.657
_cell_length_b 9.657
_cell_length_c 7.371
_cell_angle_alpha 84.99
_cell_angle_beta 84.99
_cell_angle_gamma 135.96
loop_
_space_group_symop_operation_xyz
'x,y,z'
loop_
_atom_site_label
_atom_site_type_symbol
_atom_site_fract_x
_atom_site_fract_y
_atom_site_fract_z
Rb1 Rb 0.535 0.465 0.750
Rb2 Rb 0.532 0.173 0.113
Rb3 Rb 0.468 0.827 0.887
Rb4 Rb 0.021 0.979 0.250
Rb5 Rb 0.979 0.021 0.750
Rb6 Rb 0.827 0.468 0.387
Rb7 Rb 0.173 0.532 0.613
Rb8 Rb 0.465 0.535 0.250
Fe1 Fe 0.695 0.004 0.405
Fe2 Fe 0.996 0.305 0.095
Fe3 Fe 0.004 0.695 0.905
Fe4 Fe 0.305 0.996 0.595
O1 O 0.979 0.275 0.366
O2 O 0.275 0.979 0.866
O3 O 0.641 0.795 0.542
O4 O 0.000 0.500 0.000
O5 O 0.500 0.000 0.500
O6 O 0.725 0.021 0.134
O7 O 0.795 0.641 0.042
O8 O 0.359 0.205 0.458
O9 O 0.205 0.359 0.958
O10 O 0.021 0.725 0.634
```

Crystal system = monoclinic


No. 5
VASP calculation (GGA+U) on an optimized crystal structure of Rb4Fe2O.

Structure (CIF):
```
data_Rb4Fe2O
_chemical_formula_sum 'Rb8 Fe4 O2'
_space_group_name_H-M_alt 'P 1'
_space_group_IT_number 1
_cell_length_a 10.268
_cell_length_b 10.268
_cell_length_c 10.268
_cell_angle_alpha 60.00
_cell_angle_beta 60.00
_cell_angle_gamma 60.00
loop_
_space_group_symop_operation_xyz
'x,y,z'
loop_
_atom_site_label
_atom_site_type_symbol
_atom_site_fract_x
_atom_site_fract_y
_atom_site_fract_z
Rb1 Rb 0.893 0.893 0.893
Rb2 Rb 0.357 0.357 0.357
Rb3 Rb 0.929 0.357 0.357
Rb4 Rb 0.321 0.893 0.893
Rb5 Rb 0.893 0.321 0.893
Rb6 Rb 0.357 0.357 0.929
Rb7 Rb 0.893 0.893 0.321
Rb8 Rb 0.357 0.929 0.357
O1 O 0.250 0.250 0.250
O2 O 0.000 0.000 0.000
Fe1 Fe 0.125 0.125 0.625
Fe2 Fe 0.625 0.125 0.125
Fe3 Fe 0.125 0.125 0.125
Fe4 Fe 0.125 0.625 0.125
```

Crystal system = cubic


No. 6
VASP calculation (GGA+U) on an optimized crystal structure of Rb2FeO4.

Structure (CIF):
```
data_Rb2FeO4
_chemical_formula_sum 'Rb8 Fe4 O16'
_space_group_name_H-M_alt 'P 1'
_space_group_IT_number 1
_cell_length_a 8.134
_cell_length_b 6.133
_cell_length_c 10.848
_cell_angle_alpha 90.00
_cell_angle_beta 90.00
_cell_angle_gamma 90.00
loop_
_space_group_symop_operation_xyz
'x,y,z'
loop_
_atom_site_label
_atom_site_type_symbol
_atom_site_fract_x
_atom_site_fract_y
_atom_site_fract_z
Rb1 Rb 0.334 0.750 0.912
Rb2 Rb 0.987 0.250 0.805
Rb3 Rb 0.487 0.250 0.695
Rb4 Rb 0.166 0.250 0.412
Rb5 Rb 0.013 0.750 0.195
Rb6 Rb 0.666 0.250 0.088
Rb7 Rb 0.834 0.750 0.588
Rb8 Rb 0.513 0.750 0.305
O1 O 0.029 0.250 0.085
O2 O 0.694 0.528 0.851
O3 O 0.806 0.472 0.351
O4 O 0.471 0.750 0.585
O5 O 0.703 0.750 0.067
O6 O 0.306 0.472 0.149
O7 O 0.306 0.028 0.149
O8 O 0.797 0.250 0.567
O9 O 0.194 0.972 0.649
O10 O 0.297 0.250 0.933
O11 O 0.694 0.972 0.851
O12 O 0.529 0.250 0.415
O13 O 0.203 0.750 0.433
O14 O 0.194 0.528 0.649
O15 O 0.806 0.028 0.351
O16 O 0.971 0.750 0.915
Fe1 Fe 0.767 0.750 0.921
Fe2 Fe 0.733 0.250 0.421
Fe3 Fe 0.233 0.250 0.079
Fe4 Fe 0.267 0.750 0.579
```

Crystal system = orthorhombic


No. 7
VASP calculation (GGA+U) on an optimized crystal structure of Rb5Fe3O6.

Structure (CIF):
```
data_Rb5Fe3O6
_chemical_formula_sum 'Rb10 Fe6 O12'
_space_group_name_H-M_alt 'P 1'
_space_group_IT_number 1
_cell_length_a 9.806
_cell_length_b 9.806
_cell_length_c 9.806
_cell_angle_alpha 126.48
_cell_angle_beta 126.48
_cell_angle_gamma 79.11
loop_
_space_group_symop_operation_xyz
'x,y,z'
loop_
_atom_site_label
_atom_site_type_symbol
_atom_site_fract_x
_atom_site_fract_y
_atom_site_fract_z
O1 O 0.583 0.502 0.234
O2 O 0.902 0.125 0.277
O3 O 0.848 0.625 0.723
O4 O 0.651 0.417 0.920
O5 O 0.498 0.732 0.080
O6 O 0.268 0.349 0.766
O7 O 0.482 0.748 0.580
O8 O 0.099 0.518 0.266
O9 O 0.252 0.833 0.734
O10 O 0.375 0.098 0.223
O11 O 0.875 0.152 0.777
O12 O 0.167 0.901 0.420
Rb1 Rb 0.875 0.840 0.465
Rb2 Rb 0.160 0.625 0.035
Rb3 Rb 0.993 0.493 0.500
Rb4 Rb 0.757 0.757 0.000
Rb5 Rb 0.375 0.410 0.535
Rb6 Rb 0.507 0.007 0.500
Rb7 Rb 0.590 0.125 0.965
Rb8 Rb 0.750 0.250 0.500
Rb9 Rb 0.000 0.000 0.000
Rb10 Rb 0.243 0.243 0.000
Fe1 Fe 0.500 0.500 0.000
Fe2 Fe 0.635 0.625 0.510
Fe3 Fe 0.875 0.365 0.990
Fe4 Fe 0.250 0.750 0.500
Fe5 Fe 0.375 0.885 0.010
Fe6 Fe 0.115 0.125 0.490
```

Crystal system = tetragonal


No. 8
VASP calculation (GGA+U) on an optimized crystal structure of Rb4FeO4.

Structure (CIF):
```
data_Rb4FeO4
_chemical_formula_sum 'Rb16 Fe4 O16'
_space_group_name_H-M_alt 'P 1'
_space_group_IT_number 1
_cell_length_a 6.780
_cell_length_b 9.976
_cell_length_c 12.733
_cell_angle_alpha 83.01
_cell_angle_beta 98.96
_cell_angle_gamma 111.54
loop_
_space_group_symop_operation_xyz
'x,y,z'
loop_
_atom_site_label
_atom_site_type_symbol
_atom_site_fract_x
_atom_site_fract_y
_atom_site_fract_z
Rb1 Rb 0.625 0.150 0.890
Rb2 Rb 0.875 0.850 0.610
Rb3 Rb 0.125 0.150 0.390
Rb4 Rb 0.375 0.850 0.110
Rb5 Rb 0.203 0.629 0.616
Rb6 Rb 0.594 0.426 0.634
Rb7 Rb 0.094 0.426 0.134
Rb8 Rb 0.455 0.026 0.638
Rb9 Rb 0.704 0.629 0.116
Rb10 Rb 0.545 0.974 0.362
Rb11 Rb 0.297 0.371 0.884
Rb12 Rb 0.797 0.371 0.384
Rb13 Rb 0.405 0.574 0.366
Rb14 Rb 0.045 0.974 0.862
Rb15 Rb 0.906 0.574 0.866
Rb16 Rb 0.955 0.026 0.139
O1 O 0.908 0.302 0.722
O2 O 0.591 0.698 0.778
O3 O 0.178 0.878 0.460
O4 O 0.692 0.373 0.024
O5 O 0.749 0.195 0.211
O6 O 0.251 0.805 0.789
O7 O 0.822 0.123 0.540
O8 O 0.751 0.805 0.289
O9 O 0.409 0.302 0.222
O10 O 0.678 0.877 0.960
O11 O 0.091 0.698 0.278
O12 O 0.192 0.373 0.524
O13 O 0.249 0.195 0.711
O14 O 0.308 0.627 0.976
O15 O 0.808 0.627 0.476
O16 O 0.322 0.123 0.040
Fe1 Fe 0.039 0.247 0.626
Fe2 Fe 0.961 0.753 0.374
Fe3 Fe 0.461 0.753 0.874
Fe4 Fe 0.539 0.247 0.126
```


No. 9
VASP calculation (GGA+U) on an optimized crystal structure of Rb5FeO4.

Structure (CIF):
```
data_Rb5FeO4
_chemical_formula_sum 'Rb10 Fe2 O8'
_space_group_name_H-M_alt 'P 1'
_space_group_IT_number 1
_cell_length_a 7.161
_cell_length_b 7.375
_cell_length_c 8.764
_cell_angle_alpha 90.00
_cell_angle_beta 90.00
_cell_angle_gamma 90.00
loop_
_space_group_symop_operation_xyz
'x,y,z'
loop_
_atom_site_label
_atom_site_type_symbol
_atom_site_fract_x
_atom_site_fract_y
_atom_site_fract_z
Rb1 Rb 0.746 0.624 0.702
Rb2 Rb 0.252 0.689 0.500
Rb3 Rb 0.752 0.311 0.000
Rb4 Rb 0.422 0.939 0.811
Rb5 Rb 0.246 0.376 0.202
Rb6 Rb 0.746 0.624 0.298
Rb7 Rb 0.922 0.061 0.689
Rb8 Rb 0.422 0.939 0.189
Rb9 Rb 0.246 0.376 0.798
Rb10 Rb 0.922 0.061 0.311
O1 O 0.573 0.919 0.500
O2 O 0.597 0.280 0.308
O3 O 0.597 0.280 0.692
O4 O 0.097 0.720 0.192
O5 O 0.734 0.785 0.000
O6 O 0.097 0.720 0.808
O7 O 0.234 0.215 0.500
O8 O 0.073 0.081 0.000
Fe1 Fe 0.502 0.179 0.500
Fe2 Fe 0.002 0.821 0.000
```

Energy relative to the lowest polymorph listed for this composition = 32.7 meV per atom
Crystal system = orthorhombic


No. 10
VASP calculation (GGA+U) on an optimized crystal structure of Rb2Fe2S3O12.

Structure (CIF):
```
data_Rb2Fe2S3O12
_chemical_formula_sum 'Rb8 Fe8 S12 O48'
_space_group_name_H-M_alt 'P 1'
_space_group_IT_number 1
_cell_length_a 10.262
_cell_length_b 10.262
_cell_length_c 10.262
_cell_angle_alpha 90.00
_cell_angle_beta 90.00
_cell_angle_gamma 90.00
loop_
_space_group_symop_operation_xyz
'x,y,z'
loop_
_atom_site_label
_atom_site_type_symbol
_atom_site_fract_x
_atom_site_fract_y
_atom_site_fract_z
S1 S 0.482 0.784 0.876
S2 S 0.018 0.216 0.376
S3 S 0.376 0.018 0.216
S4 S 0.518 0.284 0.624
S5 S 0.982 0.716 0.124
S6 S 0.124 0.982 0.716
S7 S 0.716 0.124 0.982
S8 S 0.624 0.518 0.284
S9 S 0.784 0.876 0.482
S10 S 0.876 0.482 0.784
S11 S 0.284 0.624 0.518
S12 S 0.216 0.376 0.018
O1 O 0.330 0.009 0.078
O2 O 0.442 0.265 0.502
O3 O 0.459 0.198 0.725
O4 O 0.275 0.959 0.302
O5 O 0.959 0.302 0.275
O6 O 0.302 0.275 0.959
O7 O 0.735 0.002 0.058
O8 O 0.009 0.078 0.330
O9 O 0.041 0.802 0.225
O10 O 0.509 0.422 0.670
O11 O 0.345 0.747 0.902
O12 O 0.198 0.725 0.459
O13 O 0.830 0.491 0.922
O14 O 0.845 0.753 0.098
O15 O 0.078 0.330 0.009
O16 O 0.225 0.041 0.802
O17 O 0.670 0.509 0.422
O18 O 0.765 0.998 0.558
O19 O 0.253 0.402 0.155
O20 O 0.998 0.558 0.765
O21 O 0.422 0.670 0.509
O22 O 0.922 0.830 0.491
O23 O 0.725 0.459 0.198
O24 O 0.775 0.541 0.698
O25 O 0.058 0.735 0.002
O26 O 0.655 0.247 0.598
O27 O 0.235 0.498 0.942
O28 O 0.753 0.098 0.845
O29 O 0.502 0.442 0.265
O30 O 0.498 0.942 0.235
O31 O 0.942 0.235 0.498
O32 O 0.578 0.170 0.991
O33 O 0.558 0.765 0.998
O34 O 0.802 0.225 0.041
O35 O 0.402 0.155 0.253
O36 O 0.098 0.845 0.753
O37 O 0.698 0.775 0.541
O38 O 0.002 0.058 0.735
O39 O 0.991 0.578 0.170
O40 O 0.598 0.655 0.247
O41 O 0.541 0.698 0.775
O42 O 0.902 0.345 0.747
O43 O 0.747 0.902 0.345
O44 O 0.155 0.253 0.402
O45 O 0.247 0.598 0.655
O46 O 0.491 0.922 0.830
O47 O 0.265 0.502 0.442
O48 O 0.170 0.991 0.578
Fe1 Fe 0.335 0.335 0.335
Fe2 Fe 0.665 0.835 0.165
Fe3 Fe 0.901 0.401 0.099
Fe4 Fe 0.835 0.165 0.665
Fe5 Fe 0.401 0.099 0.901
Fe6 Fe 0.599 0.599 0.599
Fe7 Fe 0.165 0.665 0.835
Fe8 Fe 0.099 0.901 0.401
Rb1 Rb 0.317 0.683 0.183
Rb2 Rb 0.683 0.183 0.317
Rb3 Rb 0.048 0.048 0.048
Rb4 Rb 0.183 0.317 0.683
Rb5 Rb 0.452 0.952 0.548
Rb6 Rb 0.817 0.817 0.817
Rb7 Rb 0.952 0.548 0.452
Rb8 Rb 0.548 0.452 0.952
```

Crystal system = cubic


No. 11
VASP calculation (GGA+U) on an optimized crystal structure of RbFeSe2O7.

Structure (CIF):
```
data_RbFeSe2O7
_chemical_formula_sum 'Rb2 Fe2 Se4 O14'
_space_group_name_H-M_alt 'P 1'
_space_group_IT_number 1
_cell_length_a 14.348
_cell_length_b 14.348
_cell_length_c 14.348
_cell_angle_alpha 22.18
_cell_angle_beta 22.18
_cell_angle_gamma 22.18
loop_
_space_group_symop_operation_xyz
'x,y,z'
loop_
_atom_site_label
_atom_site_type_symbol
_atom_site_fract_x
_atom_site_fract_y
_atom_site_fract_z
O1 O 0.731 0.234 0.234
O2 O 0.766 0.766 0.269
O3 O 0.269 0.766 0.766
O4 O 0.528 0.049 0.049
O5 O 0.049 0.528 0.049
O6 O 0.766 0.269 0.766
O7 O 0.653 0.653 0.653
O8 O 0.234 0.731 0.234
O9 O 0.347 0.347 0.347
O10 O 0.234 0.234 0.731
O11 O 0.951 0.951 0.472
O12 O 0.049 0.049 0.528
O13 O 0.472 0.951 0.951
O14 O 0.951 0.472 0.951
Se1 Se 0.228 0.228 0.228
Se2 Se 0.772 0.772 0.772
Se3 Se 0.386 0.386 0.386
Se4 Se 0.614 0.614 0.614
Rb1 Rb 0.500 0.500 0.500
Rb2 Rb 0.000 0.000 0.000
Fe1 Fe 0.099 0.099 0.099
Fe2 Fe 0.901 0.901 0.901
```

Crystal system = trigonal


E_form in eV per atom, matching the order above: -1.42; -1.50; -1.53; -1.64; 0.51; -1.43; -1.55; -1.53; -1.44; -1.79; -1.52
Corrected total energy (MP2020 scheme) in eV per formula unit, matching the order above: -66.07; -44.23; -89.38; -63.65; -22.27; -40.24; -81.74; -45.92; -47.57; -124.70; -67.76